An optimized crystal structure of HoCdAg2, computed with r2SCAN.

Lattice parameters (Å, degrees): 4.884 4.884 4.884 60.00 60.00 60.00
Fractional positions:
Ag 0.500 0.500 0.500
Ag 0.000 0.000 0.000
Ho 0.750 0.750 0.750
Cd 0.250 0.250 0.250

Calculated values
Space group: Fm-3m (225)
Energy in eV per atom: -24.215
ρ in g/cm³: 9.9
Volume in Å³/cell: 82